# 1
12
Lattice="-3.815 4.720 4.530 -3.444 -3.122 -5.978 -1.702 -4.646 3.408" Properties=species:S:1:pos:R:3 comment="TlPt2Se3 | Materials Project | GGA-PBE | relaxed" corrected_energy_ha_per_atom=-0.178 volume_a3_per_cell=298.4 formation_enthalpy_0k_kj_per_mol_fu=-392 pbc="T T T"
Tl -4.161 -2.126 -1.289
Tl -4.801 -0.923 3.248
Pt 0.000 0.000 0.000
Pt -1.908 2.360 2.265
Pt -1.722 -1.561 -2.989
Pt -3.630 0.799 -0.724
Se -4.857 -5.475 -1.492
Se -3.168 -3.943 1.441
Se -6.729 -3.160 0.730
Se -2.233 0.111 1.229
Se -5.794 0.895 0.518
Se -4.105 2.426 3.451



# 2
20
Lattice="6.059 -0.001 -0.016 -0.004 6.072 -0.012 -0.027 -0.020 8.567" Properties=species:S:1:pos:R:3 comment="BaSrNdSbO6 | Materials Project | GGA-PBE | relaxed" corrected_energy_ha_per_atom=-0.266 de_polymorph_ev_per_fu=0.00 volume_a3_per_cell=315.2 formation_enthalpy_0k_kj_per_mol_fu=-2902 pbc="T T T"
Ba 3.047 3.152 2.128
Ba 2.980 2.899 6.412
Sr 6.015 0.176 2.148
Sr 0.012 5.875 6.392
Nd -0.002 3.036 -0.006
Nd 3.016 -0.011 4.276
Sb 3.029 0.000 -0.008
Sb -0.016 3.026 4.278
O 1.419 1.194 8.197
O 1.563 4.259 4.493
O 4.608 4.857 0.343
O 4.464 1.792 4.047
O 1.767 4.475 8.262
O 1.162 1.403 4.625
O 4.261 1.576 0.277
O 4.865 4.648 3.915
O 2.544 6.055 1.955
O 0.336 2.824 2.299
O 3.483 -0.004 6.585
O 5.691 3.227 6.240



# 3
120
Lattice="5.830 0.000 0.000 0.000 18.595 0.000 0.000 0.000 22.900" Properties=species:S:1:pos:R:3 comment="Nd4Ga2S5O4 | Materials Project | GGA-PBE | relaxed" corrected_energy_ha_per_atom=-0.257 volume_a3_per_cell=2482.5 formation_enthalpy_0k_kj_per_mol_fu=-3796 pbc="T T T"
Nd 2.820 8.329 21.294
Nd 3.010 10.267 1.607
Nd 5.683 8.621 18.566
Nd 3.095 7.655 4.209
Nd 0.147 17.919 15.785
Nd 5.748 17.255 10.250
Nd 5.748 10.638 21.701
Nd 2.820 0.969 9.843
Nd 2.768 8.621 15.785
Nd 2.735 16.953 7.241
Nd 2.997 7.957 10.250
Nd 0.095 10.267 9.843
Nd 5.735 8.329 13.057
Nd 2.997 1.340 21.701
Nd 5.650 10.940 15.659
Nd 3.010 17.626 13.057
Nd 0.147 9.975 4.335
Nd 0.180 1.643 18.691
Nd 0.180 7.655 7.241
Nd 3.062 17.919 18.566
Nd 2.768 0.677 4.335
Nd 3.062 9.975 7.115
Nd 3.095 1.643 15.659
Nd 0.082 1.340 12.650
Nd 0.095 17.626 21.294
Nd 2.833 17.255 1.200
Nd 0.082 7.957 1.200
Nd 2.833 10.638 12.650
Nd 5.683 0.677 7.115
Nd 2.735 10.940 18.691
Nd 5.650 16.953 4.209
Nd 5.735 0.969 1.607
Ga 3.091 13.597 4.600
Ga 5.654 4.999 16.051
Ga 0.176 13.597 6.850
Ga 0.176 14.296 18.300
Ga 2.123 14.274 21.665
Ga 2.739 4.999 18.300
Ga 5.037 14.274 12.686
Ga 0.792 4.976 21.665
Ga 3.707 4.321 1.236
Ga 2.123 13.619 10.215
Ga 3.707 4.976 12.686
Ga 3.091 14.296 16.051
Ga 5.654 4.299 4.600
Ga 2.739 4.299 6.850
Ga 0.792 4.321 10.215
Ga 5.037 13.619 1.236
S 0.258 16.530 18.500
S 2.657 7.232 18.500
S 2.310 3.384 11.752
S 5.225 5.914 11.149
S 3.075 11.659 9.698
S 5.670 6.936 21.148
S 4.882 5.021 6.633
S 0.947 13.038 20.113
S 3.519 12.682 22.599
S 4.882 4.277 18.083
S 4.882 5.558 2.788
S 1.968 3.740 20.113
S 2.755 6.936 13.203
S 1.967 4.277 16.268
S 3.075 16.234 21.148
S 0.948 13.574 16.268
S 2.657 2.066 7.050
S 0.258 11.363 7.050
S 0.160 16.234 13.203
S 0.947 14.855 8.663
S 0.605 15.212 0.302
S 3.173 16.530 15.851
S 1.968 5.558 8.663
S 5.572 2.066 4.400
S 3.863 14.319 6.633
S 5.225 3.384 22.599
S 3.519 15.212 11.149
S 0.948 14.319 4.818
S 3.862 13.038 14.238
S 3.173 11.363 4.400
S 1.967 5.021 4.818
S 2.755 2.361 1.753
S 4.882 3.740 14.238
S 5.572 7.232 15.851
S 3.862 14.855 2.788
S 0.160 11.659 1.753
S 3.863 13.574 18.083
S 5.670 2.361 9.698
S 2.310 5.914 0.302
S 0.605 12.682 11.752
O 4.238 9.735 14.275
O 4.246 9.822 20.068
O 1.289 17.955 5.740
O 4.541 0.640 17.161
O 4.507 0.437 14.275
O 4.409 9.369 11.449
O 1.584 8.773 2.832
O 4.238 18.158 2.825
O 4.335 0.072 11.449
O 4.335 9.226 22.899
O 1.592 0.437 20.076
O 1.331 18.071 2.832
O 1.420 9.226 11.451
O 4.204 9.938 17.161
O 1.323 18.158 8.625
O 4.507 8.861 2.825
O 1.494 9.369 0.001
O 4.409 18.524 22.899
O 1.584 0.524 14.283
O 1.494 18.524 11.451
O 4.541 8.658 5.710
O 4.499 0.524 20.068
O 1.331 9.822 14.283
O 4.204 17.955 5.710
O 1.592 8.861 8.625
O 4.246 18.071 8.618
O 1.626 0.640 17.190
O 1.289 9.938 17.190
O 1.626 8.658 5.740
O 1.323 9.735 20.076
O 1.420 0.072 0.001
O 4.499 8.773 8.618



# 4
10
Lattice="5.922 0.507 -0.701 3.254 5.818 0.000 5.334 -2.984 4.125" Properties=species:S:1:pos:R:3 comment="Zn2PbN2 | Materials Project | GGA-PBE | relaxed" corrected_energy_ha_per_atom=-0.156 volume_a3_per_cell=163.8 formation_enthalpy_0k_kj_per_mol_fu=165 pbc="T T T"
Zn 9.321 1.374 2.121
Zn 5.189 1.967 1.303
Zn 6.962 -1.125 3.365
Zn 7.549 4.466 0.059
Pb 1.334 -0.746 1.031
Pb 4.001 -2.238 3.093
N 6.499 2.771 0.190
N 8.011 0.570 3.234
N 4.294 0.185 1.171
N 10.216 3.155 2.253



# 5
18
Lattice="-3.698 3.738 5.374 3.698 -3.738 5.374 3.698 3.738 -5.374" Properties=species:S:1:pos:R:3 comment="CsCuRhF6 | Materials Project | GGA-PBE | relaxed" corrected_energy_ha_per_atom=-0.177 volume_a3_per_cell=297.1 formation_enthalpy_0k_kj_per_mol_fu=-1875 pbc="T T T"
Cs 3.698 1.869 1.275
Cs 0.000 1.869 4.099
Cu 1.849 1.869 -2.687
Cu 1.849 -1.869 2.687
Rh 0.000 0.000 0.000
Rh 0.000 3.738 0.000
F 0.000 1.869 0.809
F 0.000 1.869 7.379
F 2.229 -0.344 4.063
F -2.229 4.082 4.063
F 1.469 3.394 -1.311
F 2.229 4.082 4.063
F 3.698 1.869 4.564
F 3.698 1.869 -2.005
F 1.469 4.082 1.311
F 5.927 -0.344 1.311
F 2.229 0.344 6.684
F 1.469 -0.344 1.311



# 6
23
Lattice="-0.874 4.297 6.943 -6.210 -4.586 -2.800 1.705 -3.922 2.642" Properties=species:S:1:pos:R:3 comment="Ca3TaGa3Si2O14 | Materials Project | GGA-PBE | relaxed" corrected_energy_ha_per_atom=-0.284 e_ij_max_c_m2=2.68 volume_a3_per_cell=293.6 formation_enthalpy_0k_kj_per_mol_fu=-6840 pbc="T T T"
Ca -2.622 -1.936 -1.182
Ca -4.093 -0.167 2.394
Ca -0.369 1.814 2.931
Ta 0.000 0.000 0.000
Ga -0.967 -2.035 2.385
Ga 0.203 1.233 6.481
Ga -3.763 -5.369 -0.760
Si -3.493 -3.783 1.902
Si -1.886 -0.427 4.883
O -1.074 -1.584 0.589
O -5.623 -1.541 3.589
O -5.395 -4.514 -0.972
O -4.259 -2.854 5.830
O -0.357 0.288 7.976
O 0.572 -2.428 3.344
O -2.076 -3.510 2.733
O -4.529 -4.344 3.079
O -3.157 -5.145 1.004
O -4.039 -2.527 1.055
O -1.340 -1.684 5.730
O -1.901 -0.643 3.232
O -1.023 0.983 5.080
O -3.451 0.027 5.227



# 7
24
Lattice="8.261 1.322 4.793 -0.085 4.162 8.697 1.898 -5.237 7.870" Properties=species:S:1:pos:R:3 comment="Er4MgRh | Materials Project | GGA-PBE | relaxed" volume_a3_per_cell=633.8 formation_enthalpy_0k_kj_per_mol_fu=-236 pbc="T T T"
Er 3.487 0.085 7.393
Er 4.655 -3.138 12.237
Er 3.434 2.647 12.746
Er 8.571 0.899 10.343
Er 7.052 0.872 7.000
Er 3.022 -0.626 14.359
Er 1.835 2.648 9.440
Er 8.239 -2.401 11.919
Er 3.075 -3.227 8.923
Er 6.999 3.474 12.436
Er 8.753 0.630 13.834
Er 6.358 -0.260 18.206
Er 5.653 1.685 15.283
Er 9.458 -1.315 16.756
Er 6.390 -1.806 14.976
Er 8.721 2.176 17.063
Mg 5.835 0.143 12.372
Mg 5.233 1.803 9.878
Mg 5.862 -1.176 9.616
Mg 3.217 -0.276 10.853
Rh 1.426 0.035 3.024
Rh 2.249 -2.236 6.437
Rh 1.389 1.840 6.796
Rh 5.009 0.608 5.103



# 8
13
Lattice="-2.577 -0.132 1.479 0.272 -5.059 0.024 4.793 0.110 8.360" Properties=species:S:1:pos:R:3 comment="LiTi4O8 | Materials Project | GGA-PBE | relaxed" corrected_energy_ha_per_atom=-0.328 de_polymorph_ev_per_fu=0.20 volume_a3_per_cell=145.2 formation_enthalpy_0k_kj_per_mol_fu=-4161 pbc="T T T"
Li 0.957 -0.346 4.628
Ti 4.390 -4.769 7.225
Ti 1.854 -2.667 2.993
Ti 1.928 -2.392 6.137
Ti -0.640 -0.261 1.852
O 1.323 -4.174 1.933
O 3.555 -4.047 8.824
O 1.142 -3.542 4.665
O 3.666 -3.352 6.089
O 0.149 -1.594 3.109
O 2.631 -1.414 4.457
O 0.224 -1.002 0.301
O 2.458 -0.852 7.196



# 9
5
Lattice="0.000 0.000 3.955 3.289 0.000 0.000 0.000 6.059 0.000" Properties=species:S:1:pos:R:3 comment="MgAgPdO2 | Materials Project | GGA-PBE | relaxed" corrected_energy_ha_per_atom=-0.176 de_polymorph_ev_per_fu=0.70 volume_a3_per_cell=78.8 formation_enthalpy_0k_kj_per_mol_fu=-431 pbc="T T T"
Mg 1.645 0.000 1.978
Ag 1.645 3.030 1.978
Pd 0.000 0.000 0.000
O 0.000 1.263 1.978
O 0.000 4.797 1.978



# 10
105
Lattice="-7.849 3.235 2.182 2.186 -8.160 2.345 8.637 7.859 19.423" Properties=species:S:1:pos:R:3 comment="Na3Mg2Ta10Si3P15O72 | Materials Project | GGA-PBE | relaxed" corrected_energy_ha_per_atom=-0.314 volume_a3_per_cell=1508.0 formation_enthalpy_0k_kj_per_mol_fu=-30759 pbc="T T T"
Na 0.010 0.009 0.030
Na 2.730 6.016 18.513
Na -1.584 2.095 8.815
Mg 3.963 7.141 21.278
Mg -0.367 3.201 11.540
Ta -2.527 -2.111 11.472
Ta 1.729 1.828 21.130
Ta 7.709 -3.084 14.806
Ta -6.556 4.374 5.041
Ta 1.396 4.807 15.551
Ta -2.890 0.904 5.899
Ta -0.946 -4.160 2.775
Ta 3.352 -0.267 12.417
Ta 1.520 -1.905 8.312
Ta 5.858 2.006 18.032
Si -1.867 -1.538 8.103
Si -5.050 2.865 7.728
Si 0.193 3.319 18.395
P -0.075 2.895 5.496
P 4.847 4.490 15.854
P 0.870 8.193 16.119
P -1.738 4.925 14.136
P 2.114 5.411 12.229
P 1.146 1.665 14.174
P -5.404 -1.350 5.103
P -4.441 2.394 3.155
P -1.564 -0.821 3.179
P 4.511 3.817 20.713
P 8.424 4.242 18.799
P 7.351 0.488 20.802
P 0.840 -2.547 11.693
P 1.773 1.276 9.725
P 4.720 -1.993 9.733
O 1.116 2.778 6.452
O -2.172 -1.418 9.690
O -4.582 4.226 8.467
O 5.757 5.585 16.473
O 1.133 2.908 19.677
O 0.507 8.748 17.526
O 1.852 0.123 17.527
O 5.106 4.366 14.350
O 7.584 -1.285 15.488
O -2.830 -2.680 7.449
O 1.844 0.002 4.274
O 2.449 -5.828 6.438
O -0.502 4.862 15.146
O 1.927 5.548 13.793
O 1.622 2.957 14.975
O -4.526 -0.233 5.766
O -3.521 2.092 4.374
O -1.879 -0.280 4.607
O -2.697 -0.748 2.225
O -5.184 -1.500 3.644
O -4.931 1.197 2.431
O 1.316 4.324 11.640
O 0.232 2.001 13.071
O -1.374 4.441 12.795
O 5.732 3.659 21.671
O 8.112 4.358 20.324
O 7.855 1.796 21.481
O 1.728 -1.387 12.278
O 2.715 0.864 10.919
O 4.298 -1.439 11.151
O 3.450 -1.953 8.843
O 1.056 -2.565 10.160
O 1.403 -0.047 8.983
O 7.428 3.187 18.200
O 6.529 0.896 19.534
O 4.872 3.150 19.352
O 5.071 -3.492 9.952
O -0.637 -2.092 11.945
O 2.633 2.120 8.744
O 8.026 5.631 18.168
O 8.662 -0.242 20.280
O 3.374 2.914 21.364
O -2.151 6.428 14.131
O 3.648 5.121 12.039
O 0.433 0.775 15.253
O -5.148 -2.701 5.837
O -5.672 3.243 3.635
O -0.338 -0.050 2.601
O 1.348 6.732 16.300
O 3.376 4.862 16.156
O 1.058 4.293 17.411
O -2.195 -0.105 7.387
O -3.732 2.065 7.189
O -1.257 2.079 6.084
O 4.019 5.205 20.490
O 1.973 7.102 20.623
O 4.364 7.721 19.304
O -1.082 4.267 9.932
O 0.529 1.989 10.137
O -2.020 2.004 11.271
O -1.080 -2.314 3.373
O 0.947 -4.210 3.244
O -1.437 -4.810 4.548
O 4.049 -1.343 13.955
O 2.430 0.892 13.770
O 4.948 0.914 12.637
O 1.663 -3.810 7.686
O -0.329 -1.922 7.825
O 1.983 -1.329 6.552
O 5.164 3.149 16.548
O 6.749 0.894 16.766
O 4.225 0.862 17.897